*one*
Sm5Bi3 PBE relaxed; space group = Pnma, No. 62
1.0
12.383 0.000 0.000
0.000 9.749 0.000
0.000 0.000 8.436
Sm Bi
20 12
Direct
0.005 0.250 0.023 Sm
0.065 0.058 0.693 Sm
0.065 0.442 0.693 Sm
0.210 0.750 0.343 Sm
0.229 0.250 0.336 Sm
0.271 0.750 0.836 Sm
0.290 0.250 0.843 Sm
0.435 0.558 0.193 Sm
0.435 0.942 0.193 Sm
0.495 0.750 0.523 Sm
0.505 0.250 0.477 Sm
0.565 0.058 0.807 Sm
0.565 0.442 0.807 Sm
0.710 0.750 0.157 Sm
0.729 0.250 0.164 Sm
0.771 0.750 0.664 Sm
0.790 0.250 0.657 Sm
0.935 0.558 0.307 Sm
0.935 0.942 0.307 Sm
0.995 0.750 0.977 Sm
0.024 0.750 0.594 Bi
0.175 0.506 0.067 Bi
0.175 0.994 0.067 Bi
0.325 0.006 0.567 Bi
0.325 0.494 0.567 Bi
0.476 0.250 0.094 Bi
0.524 0.750 0.906 Bi
0.675 0.506 0.433 Bi
0.675 0.994 0.433 Bi
0.825 0.006 0.933 Bi
0.825 0.494 0.933 Bi
0.976 0.250 0.406 Bi

=====

*two*
Sm5Bi3 PBE relaxed; space group = Cmcm, No. 63
1.0
8.133 -4.701 0.000
8.133 4.701 0.000
0.000 0.000 6.493
Sm Bi
10 6
Direct
0.000 0.246 0.750 Sm
0.000 0.754 0.250 Sm
0.246 0.000 0.250 Sm
0.246 0.754 0.750 Sm
0.333 0.333 0.000 Sm
0.333 0.333 0.500 Sm
0.667 0.667 0.000 Sm
0.667 0.667 0.500 Sm
0.754 0.000 0.750 Sm
0.754 0.246 0.250 Sm
0.000 0.388 0.250 Bi
0.000 0.612 0.750 Bi
0.388 0.000 0.750 Bi
0.388 0.612 0.250 Bi
0.612 0.000 0.250 Bi
0.612 0.388 0.750 Bi

=====

Which structure is the least stable? The one labeled *one*.

=====

*one*
SnBi2Te4 PBE relaxed; space group = Cm, No. 8
1.0
14.803 -2.227 0.000
14.803 2.227 0.000
-13.008 0.000 19.400
Sn Bi Te
5 10 20
Direct
0.000 0.000 0.000 Sn
0.004 0.004 0.731 Sn
0.381 0.381 0.241 Sn
0.599 0.599 0.924 Sn
0.635 0.635 0.223 Sn
0.196 0.196 0.842 Bi
0.197 0.197 0.127 Bi
0.213 0.213 0.414 Bi
0.403 0.403 0.523 Bi
0.405 0.405 0.809 Bi
0.501 0.501 0.219 Bi
0.601 0.601 0.644 Bi
0.788 0.788 0.045 Bi
0.814 0.814 0.610 Bi
0.993 0.993 0.447 Bi
0.009 0.009 0.868 Te
0.030 0.030 0.154 Te
0.186 0.186 0.703 Te
0.194 0.194 0.984 Te
0.220 0.220 0.274 Te
0.227 0.227 0.553 Te
0.377 0.377 0.104 Te
0.401 0.401 0.393 Te
0.412 0.412 0.670 Te
0.417 0.417 0.945 Te
0.585 0.585 0.506 Te
0.594 0.594 0.784 Te
0.608 0.608 0.065 Te
0.628 0.628 0.354 Te
0.780 0.780 0.902 Te
0.789 0.789 0.180 Te
0.811 0.811 0.469 Te
0.821 0.821 0.749 Te
0.972 0.972 0.297 Te
0.996 0.996 0.587 Te

=====

*two*
SnBi2Te4 PBE relaxed; space group = R-3m, No. 166
1.0
2.237 1.292 14.094
-2.237 1.292 14.094
0.000 -2.583 14.094
Sn Bi Te
1 2 4
Direct
0.000 0.000 0.000 Sn
0.427 0.427 0.427 Bi
0.573 0.573 0.573 Bi
0.134 0.134 0.134 Te
0.289 0.289 0.289 Te
0.711 0.711 0.711 Te
0.866 0.866 0.866 Te

=====

Which structure is the least stable? The one labeled *one*.

=====

*one*
Tm5Bi3 PBE relaxed; space group = Pnma, No. 62
1.0
8.163 0.000 0.000
0.000 9.437 0.000
0.000 0.000 11.908
Tm Bi
20 12
Direct
0.027 0.250 0.011 Tm
0.144 0.750 0.283 Tm
0.188 0.250 0.281 Tm
0.194 0.066 0.561 Tm
0.194 0.434 0.561 Tm
0.306 0.566 0.061 Tm
0.306 0.934 0.061 Tm
0.312 0.750 0.781 Tm
0.356 0.250 0.783 Tm
0.473 0.750 0.511 Tm
0.527 0.250 0.489 Tm
0.644 0.750 0.217 Tm
0.688 0.250 0.219 Tm
0.694 0.066 0.939 Tm
0.694 0.434 0.939 Tm
0.806 0.566 0.439 Tm
0.806 0.934 0.439 Tm
0.812 0.750 0.719 Tm
0.856 0.250 0.717 Tm
0.973 0.750 0.989 Tm
0.067 0.003 0.826 Bi
0.067 0.497 0.826 Bi
0.092 0.750 0.542 Bi
0.408 0.250 0.042 Bi
0.433 0.503 0.326 Bi
0.433 0.997 0.326 Bi
0.567 0.003 0.674 Bi
0.567 0.497 0.674 Bi
0.592 0.750 0.958 Bi
0.908 0.250 0.458 Bi
0.933 0.503 0.174 Bi
0.933 0.997 0.174 Bi

=====

*two*
Tm5Bi3 PBE relaxed; space group = Pnma, No. 62
1.0
11.845 0.000 0.000
0.000 9.395 0.000
0.000 0.000 8.250
Tm Bi
20 12
Direct
0.009 0.250 0.026 Tm
0.068 0.061 0.696 Tm
0.068 0.439 0.696 Tm
0.212 0.750 0.346 Tm
0.233 0.250 0.327 Tm
0.267 0.750 0.827 Tm
0.288 0.250 0.846 Tm
0.432 0.561 0.196 Tm
0.432 0.939 0.196 Tm
0.491 0.750 0.526 Tm
0.509 0.250 0.474 Tm
0.568 0.061 0.804 Tm
0.568 0.439 0.804 Tm
0.712 0.750 0.154 Tm
0.733 0.250 0.173 Tm
0.767 0.750 0.673 Tm
0.788 0.250 0.654 Tm
0.932 0.561 0.304 Tm
0.932 0.939 0.304 Tm
0.991 0.750 0.974 Tm
0.021 0.750 0.593 Bi
0.174 0.511 0.069 Bi
0.174 0.989 0.069 Bi
0.326 0.011 0.569 Bi
0.326 0.489 0.569 Bi
0.479 0.250 0.093 Bi
0.521 0.750 0.907 Bi
0.674 0.511 0.431 Bi
0.674 0.989 0.431 Bi
0.826 0.011 0.931 Bi
0.826 0.489 0.931 Bi
0.979 0.250 0.407 Bi

=====

Which structure is the least stable? The one labeled *two*.

=====

*one*
V4Bi3 PBE relaxed; space group = C2/m, No. 12
1.0
6.904 -2.121 0.000
6.904 2.121 0.000
-3.604 0.000 9.995
V Bi
8 6
Direct
0.000 0.000 0.000 V
0.000 0.000 0.500 V
0.209 0.209 0.653 V
0.363 0.363 0.024 V
0.440 0.440 0.854 V
0.560 0.560 0.146 V
0.637 0.637 0.976 V
0.791 0.791 0.347 V
0.057 0.057 0.775 Bi
0.214 0.214 0.165 Bi
0.371 0.371 0.541 Bi
0.629 0.629 0.459 Bi
0.786 0.786 0.835 Bi
0.943 0.943 0.225 Bi

=====

*two*
V4Bi3 PBE relaxed; space group = Cmcm, No. 63
1.0
2.114 -6.940 0.000
2.114 6.940 0.000
0.000 0.000 20.394
V Bi
16 12
Direct
0.000 0.000 0.000 V
0.000 0.000 0.500 V
0.101 0.899 0.750 V
0.294 0.706 0.669 V
0.294 0.706 0.831 V
0.399 0.601 0.016 V
0.399 0.601 0.484 V
0.460 0.540 0.595 V
0.460 0.540 0.905 V
0.540 0.460 0.095 V
0.540 0.460 0.405 V
0.601 0.399 0.516 V
0.601 0.399 0.984 V
0.706 0.294 0.169 V
0.706 0.294 0.331 V
0.899 0.101 0.250 V
0.101 0.899 0.616 Bi
0.101 0.899 0.884 Bi
0.184 0.816 0.071 Bi
0.184 0.816 0.429 Bi
0.265 0.735 0.250 Bi
0.463 0.537 0.750 Bi
0.537 0.463 0.250 Bi
0.735 0.265 0.750 Bi
0.816 0.184 0.571 Bi
0.816 0.184 0.929 Bi
0.899 0.101 0.116 Bi
0.899 0.101 0.384 Bi

=====

Which structure is the least stable? The one labeled *two*.

=====

*one*
H6PbCBr3N PBE relaxed; space group = P1, No. 1
1.0
8.587 0.000 0.000
0.011 8.591 0.000
0.102 0.121 12.207
H Pb C Br N
24 4 4 12 4
Direct
0.000 0.000 0.000 H
0.003 0.015 0.499 H
0.272 0.563 0.820 H
0.285 0.523 0.502 H
0.319 0.449 0.003 H
0.324 0.637 0.320 H
0.335 0.429 0.319 H
0.359 0.639 0.999 H
0.419 0.416 0.818 H
0.441 0.635 0.499 H
0.463 0.442 0.500 H
0.474 0.618 0.816 H
0.504 0.511 0.997 H
0.512 0.543 0.316 H
0.773 0.058 0.320 H
0.774 0.069 0.821 H
0.814 0.951 0.001 H
0.820 0.949 0.504 H
0.857 0.140 0.499 H
0.859 0.137 0.002 H
0.913 0.915 0.819 H
0.924 0.914 0.320 H
0.973 0.118 0.316 H
0.979 0.115 0.817 H
0.391 0.034 0.620 Pb
0.396 0.033 0.120 Pb
0.895 0.534 0.120 Pb
0.896 0.534 0.620 Pb
0.390 0.532 0.846 C
0.392 0.535 0.346 C
0.890 0.033 0.847 C
0.891 0.031 0.347 C
0.121 0.260 0.617 Br
0.126 0.810 0.116 Br
0.167 0.759 0.617 Br
0.169 0.306 0.117 Br
0.394 0.033 0.363 Br
0.395 0.033 0.863 Br
0.621 0.305 0.615 Br
0.624 0.761 0.115 Br
0.666 0.805 0.616 Br
0.672 0.264 0.116 Br
0.893 0.534 0.863 Br
0.895 0.533 0.363 Br
0.393 0.533 0.968 N
0.395 0.534 0.468 N
0.892 0.031 0.969 N
0.893 0.034 0.469 N

=====

*two*
H6PbCBr3N PBE relaxed; space group = Pnma, No. 62
1.0
8.065 0.000 0.000
0.000 12.083 0.000
0.000 0.000 8.776
H Pb C Br N
24 4 4 12 4
Direct
0.009 0.181 0.155 H
0.009 0.319 0.155 H
0.024 0.176 0.878 H
0.024 0.324 0.878 H
0.154 0.750 0.056 H
0.178 0.250 0.095 H
0.322 0.750 0.595 H
0.346 0.250 0.556 H
0.476 0.676 0.378 H
0.476 0.824 0.378 H
0.491 0.681 0.655 H
0.491 0.819 0.655 H
0.509 0.181 0.345 H
0.509 0.319 0.345 H
0.524 0.176 0.622 H
0.524 0.324 0.622 H
0.654 0.750 0.444 H
0.678 0.250 0.405 H
0.822 0.750 0.905 H
0.846 0.250 0.944 H
0.976 0.676 0.122 H
0.976 0.824 0.122 H
0.991 0.681 0.845 H
0.991 0.819 0.845 H
0.000 0.000 0.500 Pb
0.000 0.500 0.500 Pb
0.500 0.000 0.000 Pb
0.500 0.500 0.000 Pb
0.019 0.750 0.062 C
0.481 0.250 0.562 C
0.519 0.750 0.438 C
0.981 0.250 0.938 C
0.033 0.750 0.482 Br
0.204 0.529 0.789 Br
0.204 0.971 0.789 Br
0.296 0.029 0.289 Br
0.296 0.471 0.289 Br
0.467 0.250 0.982 Br
0.533 0.750 0.018 Br
0.704 0.529 0.711 Br
0.704 0.971 0.711 Br
0.796 0.029 0.211 Br
0.796 0.471 0.211 Br
0.967 0.250 0.518 Br
0.049 0.250 0.096 N
0.451 0.750 0.596 N
0.549 0.250 0.404 N
0.951 0.750 0.904 N

=====

Which structure is the least stable? The one labeled *one*.

=====

*one*
H6PbCBr3N PBE relaxed; space group = Pm, No. 6
1.0
6.039 0.000 0.000
0.000 6.060 0.000
-0.008 0.000 6.128
H Pb C Br N
6 1 1 3 1
Direct
0.000 0.000 0.000 H
0.040 0.138 0.770 H
0.040 0.862 0.770 H
0.647 0.148 0.863 H
0.647 0.852 0.863 H
0.692 0.000 0.613 H
0.297 0.500 0.279 Pb
0.720 0.000 0.790 C
0.252 0.500 0.774 Br
0.257 0.000 0.314 Br
0.789 0.500 0.242 Br
0.963 0.000 0.834 N

=====

*two*
H6PbCBr3N PBE relaxed; space group = Pnma, No. 62
1.0
8.547 0.000 0.000
0.000 12.184 0.000
0.000 0.000 8.422
H Pb C Br N
24 4 4 12 4
Direct
0.082 0.182 0.109 H
0.082 0.318 0.109 H
0.092 0.676 0.117 H
0.092 0.824 0.117 H
0.162 0.250 0.958 H
0.176 0.750 0.954 H
0.324 0.250 0.454 H
0.338 0.750 0.458 H
0.408 0.176 0.617 H
0.408 0.324 0.617 H
0.418 0.682 0.609 H
0.418 0.818 0.609 H
0.582 0.182 0.391 H
0.582 0.318 0.391 H
0.592 0.676 0.383 H
0.592 0.824 0.383 H
0.662 0.250 0.542 H
0.676 0.750 0.546 H
0.824 0.250 0.046 H
0.838 0.750 0.042 H
0.908 0.176 0.883 H
0.908 0.324 0.883 H
0.918 0.682 0.891 H
0.918 0.818 0.891 H
0.000 0.000 0.500 Pb
0.000 0.500 0.500 Pb
0.500 0.000 0.000 Pb
0.500 0.500 0.000 Pb
0.085 0.750 0.044 C
0.415 0.250 0.544 C
0.585 0.750 0.456 C
0.915 0.250 0.956 C
0.024 0.750 0.561 Br
0.200 0.018 0.801 Br
0.200 0.482 0.801 Br
0.300 0.518 0.301 Br
0.300 0.982 0.301 Br
0.476 0.250 0.061 Br
0.524 0.750 0.939 Br
0.700 0.018 0.699 Br
0.700 0.482 0.699 Br
0.800 0.518 0.199 Br
0.800 0.982 0.199 Br
0.976 0.250 0.439 Br
0.070 0.250 0.037 N
0.430 0.750 0.537 N
0.570 0.250 0.463 N
0.930 0.750 0.963 N

=====

Which structure is the least stable? The one labeled *two*.